# PBE Ba5Ca2Nb3O15, relaxed
data_Ba5Ca2Nb3O15
_cell_length_a 13.580
_cell_length_b 13.580
_cell_length_c 8.526
_cell_angle_alpha 90.00
_cell_angle_beta 90.00
_cell_angle_gamma 90.00
_space_group_name_H-M_alt 'I 4/m'
_space_group_IT_number 87
_space_group_name_Hall '-I 4'
loop_
_atom_site_label
_atom_site_fract_x
_atom_site_fract_y
_atom_site_fract_z
Ba1 0.000 0.500 0.250
Ba2 0.099 0.802 0.245
Ca1 0.102 0.298 0.500
Nb1 0.000 0.000 0.000
Nb2 0.000 0.000 0.500
Nb3 0.102 0.306 0.000
O1 0.000 0.000 0.246
O2 0.042 0.659 0.000
O3 0.047 0.138 0.500
O4 0.047 0.142 0.000
O5 0.059 0.645 0.500
O6 0.097 0.292 0.233
O7 0.236 0.247 0.000
# - formation enthalpy at 0 K (eV/atom) = -3.2133
# - uncorrected energy (eV/cell) = -752.63

---

# PBE CaEuGdSbO6, relaxed
data_CaEuGdSbO6
_cell_length_a 5.982
_cell_length_b 6.243
_cell_length_c 8.672
_cell_angle_alpha 90.55
_cell_angle_beta 90.17
_cell_angle_gamma 90.41
_space_group_name_H-M_alt 'P -1'
_space_group_IT_number 2
loop_
_space_group_symop_operation_xyz
'x,y,z'
'-x,-y,-z'
loop_
_atom_site_label
_atom_site_fract_x
_atom_site_fract_y
_atom_site_fract_z
Ca1 0.021 0.433 0.248
Eu1 0.477 0.932 0.252
Gd1 0.000 0.000 0.500
Gd2 0.500 0.500 0.000
Sb1 0.000 0.000 0.000
Sb2 0.500 0.500 0.500
O1 0.107 0.976 0.768
O2 0.178 0.716 0.056
O3 0.216 0.683 0.443
O4 0.285 0.184 0.055
O5 0.322 0.216 0.445
O6 0.391 0.477 0.733
# - formation enthalpy at 0 K (eV/atom) = -2.9531
# - uncorrected energy (eV/cell) = -171.13
# - energy relative to the lowest polymorph listed for this composition (kJ/mol of formula units) = 0

---

# PBE Na30Ca16Ta8Si15S21O144, relaxed
data_Na30Ca16Ta8Si15S21O144
_cell_length_a 9.260
_cell_length_b 16.083
_cell_length_c 23.249
_cell_angle_alpha 89.82
_cell_angle_beta 89.94
_cell_angle_gamma 89.97
_space_group_name_H-M_alt 'P 1'
_space_group_IT_number 1
loop_
_space_group_symop_operation_xyz
'x,y,z'
loop_
_atom_site_label
_atom_site_fract_x
_atom_site_fract_y
_atom_site_fract_z
Na1 0.000 0.000 0.000
Na2 0.000 0.670 0.344
Na3 0.044 0.352 0.000
Na4 0.143 0.850 0.503
Na5 0.152 0.202 0.170
Na6 0.186 0.170 0.839
Na7 0.189 0.501 0.502
Na8 0.205 0.197 0.493
Na9 0.325 0.018 0.408
Na10 0.335 0.355 0.576
Na11 0.344 0.681 0.748
Na12 0.350 0.352 0.075
Na13 0.356 0.684 0.260
Na14 0.361 0.018 0.907
Na15 0.479 0.196 0.991
Na16 0.497 0.498 0.001
Na17 0.499 0.170 0.342
Na18 0.534 0.202 0.667
Na19 0.542 0.853 0.001
Na20 0.643 0.354 0.502
Na21 0.652 0.702 0.171
Na22 0.688 0.999 0.502
Na23 0.704 0.696 0.494
Na24 0.824 0.519 0.409
Na25 0.831 0.185 0.754
Na26 0.842 0.515 0.908
Na27 0.844 0.845 0.576
Na28 0.849 0.856 0.078
Na29 0.856 0.183 0.259
Na30 0.988 0.696 0.002
Ca1 0.333 0.348 0.238
Ca2 0.337 0.681 0.102
Ca3 0.339 0.011 0.272
Ca4 0.340 0.348 0.430
Ca5 0.345 0.681 0.603
Ca6 0.346 0.348 0.929
Ca7 0.349 0.011 0.771
Ca8 0.352 0.350 0.736
Ca9 0.833 0.848 0.238
Ca10 0.836 0.180 0.102
Ca11 0.839 0.511 0.272
Ca12 0.839 0.848 0.430
Ca13 0.842 0.515 0.770
Ca14 0.843 0.848 0.929
Ca15 0.845 0.846 0.731
Ca16 0.851 0.181 0.602
Ta1 0.342 0.014 0.560
Ta2 0.342 0.015 0.059
Ta3 0.343 0.682 0.908
Ta4 0.357 0.682 0.407
Ta5 0.829 0.182 0.906
Ta6 0.843 0.514 0.059
Ta7 0.846 0.517 0.560
Ta8 0.857 0.183 0.408
Si1 0.052 0.681 0.501
Si2 0.135 0.181 0.004
Si3 0.183 0.194 0.334
Si4 0.194 0.534 0.003
Si5 0.196 0.831 0.003
Si6 0.491 0.830 0.505
Si7 0.493 0.534 0.506
Si8 0.502 0.194 0.835
Si9 0.551 0.180 0.505
Si10 0.640 0.680 0.006
Si11 0.682 0.694 0.334
Si12 0.695 0.033 0.005
Si13 0.695 0.331 0.004
Si14 0.991 0.332 0.504
Si15 0.992 0.033 0.505
S1 0.011 0.695 0.839
S2 0.033 0.342 0.839
S3 0.056 0.012 0.164
S4 0.130 0.512 0.666
S5 0.152 0.840 0.338
S6 0.195 0.872 0.665
S7 0.199 0.508 0.337
S8 0.204 0.159 0.667
S9 0.482 0.158 0.166
S10 0.490 0.510 0.839
S11 0.493 0.871 0.164
S12 0.532 0.838 0.838
S13 0.556 0.512 0.164
S14 0.631 0.012 0.664
S15 0.651 0.340 0.338
S16 0.695 0.372 0.665
S17 0.698 0.009 0.338
S18 0.704 0.660 0.665
S19 0.982 0.659 0.165
S20 0.987 0.007 0.838
S21 0.992 0.372 0.164
O1 0.000 0.188 0.347
O2 0.011 0.537 0.012
O3 0.023 0.163 0.948
O4 0.026 0.510 0.613
O5 0.032 0.856 0.990
O6 0.035 0.868 0.662
O7 0.040 0.513 0.717
O8 0.040 0.521 0.332
O9 0.048 0.169 0.664
O10 0.051 0.196 0.063
O11 0.055 0.831 0.287
O12 0.070 0.852 0.391
O13 0.113 0.354 0.892
O14 0.130 0.332 0.789
O15 0.137 0.669 0.163
O16 0.146 0.020 0.832
O17 0.148 0.014 0.215
O18 0.150 0.702 0.554
O19 0.152 0.366 0.159
O20 0.155 0.359 0.493
O21 0.157 0.009 0.110
O22 0.158 0.662 0.442
O23 0.175 0.690 0.843
O24 0.176 0.037 0.513
O25 0.200 0.245 0.273
O26 0.206 0.771 0.056
O27 0.216 0.435 0.662
O28 0.218 0.587 0.664
O29 0.225 0.603 0.947
O30 0.228 0.463 0.391
O31 0.233 0.089 0.011
O32 0.233 0.758 0.342
O33 0.238 0.440 0.990
O34 0.241 0.115 0.720
O35 0.241 0.915 0.717
O36 0.243 0.925 0.612
O37 0.249 0.255 0.994
O38 0.254 0.237 0.390
O39 0.256 0.908 0.331
O40 0.257 0.102 0.333
O41 0.259 0.467 0.286
O42 0.261 0.107 0.615
O43 0.262 0.790 0.663
O44 0.265 0.594 0.340
O45 0.280 0.569 0.057
O46 0.282 0.780 0.947
O47 0.283 0.240 0.663
O48 0.291 0.921 0.010
O49 0.393 0.921 0.512
O50 0.403 0.239 0.161
O51 0.405 0.781 0.448
O52 0.407 0.567 0.559
O53 0.417 0.595 0.844
O54 0.425 0.106 0.114
O55 0.427 0.470 0.788
O56 0.428 0.102 0.833
O57 0.429 0.787 0.163
O58 0.431 0.908 0.833
O59 0.435 0.236 0.892
O60 0.437 0.254 0.494
O61 0.443 0.114 0.219
O62 0.443 0.921 0.111
O63 0.444 0.758 0.843
O64 0.446 0.915 0.215
O65 0.449 0.440 0.491
O66 0.454 0.089 0.512
O67 0.462 0.464 0.893
O68 0.462 0.602 0.450
O69 0.466 0.437 0.161
O70 0.474 0.590 0.162
O71 0.480 0.770 0.558
O72 0.482 0.247 0.775
O73 0.499 0.687 0.346
O74 0.512 0.035 0.012
O75 0.516 0.664 0.952
O76 0.531 0.009 0.611
O77 0.531 0.358 0.993
O78 0.535 0.365 0.661
O79 0.539 0.021 0.332
O80 0.540 0.016 0.716
O81 0.547 0.667 0.664
O82 0.555 0.330 0.288
O83 0.557 0.701 0.064
O84 0.570 0.352 0.391
O85 0.614 0.848 0.892
O86 0.627 0.829 0.788
O87 0.634 0.197 0.564
O88 0.637 0.169 0.163
O89 0.648 0.515 0.215
O90 0.648 0.523 0.834
O91 0.653 0.865 0.160
O92 0.654 0.858 0.493
O93 0.659 0.509 0.110
O94 0.664 0.163 0.448
O95 0.677 0.536 0.513
O96 0.686 0.187 0.847
O97 0.700 0.745 0.273
O98 0.709 0.272 0.058
O99 0.715 0.090 0.663
O100 0.722 0.937 0.663
O101 0.724 0.102 0.950
O102 0.727 0.964 0.391
O103 0.729 0.587 0.011
O104 0.731 0.257 0.343
O105 0.739 0.939 0.990
O106 0.741 0.415 0.717
O107 0.743 0.421 0.612
O108 0.746 0.614 0.718
O109 0.753 0.737 0.390
O110 0.755 0.751 0.991
O111 0.756 0.602 0.333
O112 0.757 0.407 0.331
O113 0.758 0.287 0.665
O114 0.759 0.609 0.613
O115 0.760 0.968 0.287
O116 0.763 0.095 0.342
O117 0.777 0.741 0.662
O118 0.779 0.281 0.948
O119 0.781 0.065 0.059
O120 0.794 0.421 0.010
O121 0.893 0.422 0.512
O122 0.903 0.739 0.161
O123 0.906 0.282 0.448
O124 0.907 0.066 0.559
O125 0.921 0.093 0.841
O126 0.925 0.964 0.787
O127 0.926 0.607 0.113
O128 0.929 0.288 0.163
O129 0.929 0.411 0.832
O130 0.934 0.753 0.493
O131 0.942 0.422 0.111
O132 0.943 0.614 0.218
O133 0.945 0.415 0.215
O134 0.949 0.939 0.491
O135 0.951 0.260 0.843
O136 0.953 0.610 0.833
O137 0.955 0.731 0.892
O138 0.957 0.589 0.511
O139 0.959 0.962 0.892
O140 0.963 0.102 0.450
O141 0.965 0.937 0.161
O142 0.973 0.090 0.163
O143 0.978 0.747 0.788
O144 0.979 0.272 0.557
# - formation enthalpy at 0 K (eV/atom) = -2.6360
# - uncorrected energy (eV/cell) = -1565.28

---

# PBE Zr2N2O, relaxed
data_Zr2N2O
_cell_length_a 13.682
_cell_length_b 3.356
_cell_length_c 16.678
_cell_angle_alpha 90.00
_cell_angle_beta 100.75
_cell_angle_gamma 90.00
_space_group_name_H-M_alt 'C 1 2/m 1'
_space_group_IT_number 12
loop_
_space_group_symop_operation_xyz
'x,y,z'
'-x,-y,-z'
'-x,y,-z'
'x,-y,z'
'x+1/2,y+1/2,z'
'-x+1/2,-y+1/2,-z'
'-x+1/2,y+1/2,-z'
'x+1/2,-y+1/2,z'
loop_
_atom_site_label
_atom_site_fract_x
_atom_site_fract_y
_atom_site_fract_z
Zr1 0.030 0.000 0.155
Zr2 0.037 0.000 0.652
Zr3 0.128 0.500 0.987
Zr4 0.135 0.500 0.497
Zr5 0.195 0.500 0.817
Zr6 0.197 0.500 0.315
N1 0.026 0.500 0.578
N2 0.034 0.500 0.079
N3 0.128 0.000 0.894
N4 0.172 0.000 0.736
N5 0.173 0.000 0.234
N6 0.204 0.000 0.562
O1 0.000 0.500 0.250
O2 0.126 0.000 0.387
O3 0.208 0.000 0.060
# - formation enthalpy at 0 K (eV/atom) = -2.1277
# - uncorrected energy (eV/cell) = -584.01

---

> Look up the uncorrected energy of the first one.

-752.63 eV/cell

---

> uncorrected energy of number 4 (Zr2N2O)?

-584.01 eV/cell

---

> What is the uncorrected energy in the third record?

-1565.28 eV/cell

---

> The lowest formation enthalpy at 0 K belongs to which entry?

Ba5Ca2Nb3O15